Record 1
Cs3Ac | PBE | relaxed

Cell: 6.9634 6.9634 6.9634 Å, 90.00 90.00 90.00°
With the nearest neighbours (Å) after each atom.
Atoms (fractional coordinates):
1 Cs 0.5000 0.0000 0.5000  4 Ac 4.92, 8 Cs 4.92
2 Cs 0.0000 0.5000 0.5000  4 Ac 4.92, 8 Cs 4.92
3 Cs 0.5000 0.5000 0.0000  4 Ac 4.92, 8 Cs 4.92
4 Ac 0.0000 0.0000 0.0000  12 Cs 4.92

Output
Size of the total moment = 0.4 μB/cell
E = -4.7 eV per cell
Space-group type = Pm-3m (221)
Energy of formation from the pure elements = 0.5268 eV/atom

Record 2
CsAc3 | PBE | relaxed

Cell: 5.8045 5.8045 5.8045 Å, 90.00 90.00 90.00°
With the nearest neighbours (Å) after each atom.
Atoms (fractional coordinates):
1 Ac 0.5000 0.0000 0.5000  8 Ac 4.10, 4 Cs 4.10
2 Ac 0.0000 0.5000 0.5000  8 Ac 4.10, 4 Cs 4.10
3 Ac 0.5000 0.5000 0.0000  8 Ac 4.10, 4 Cs 4.10
4 Cs 0.0000 0.0000 0.0000  12 Ac 4.10

Output
Size of the total moment = 0.0 μB/cell
E = -11.6 eV per cell
Space-group type = Pm-3m (221)
Energy of formation from the pure elements = 0.4167 eV/atom

Record 3
AcCu3 | PBE | relaxed

Cell: 6.6641 6.6641 4.2705 Å, 90.00 90.00 120.00°
With the nearest neighbours (Å) after each atom.
Atoms (fractional coordinates):
1 Cu 0.7486 0.8743 0.2500  6 Cu 2.51-2.58
2 Cu 0.1257 0.2514 0.2500  6 Cu 2.51-2.58
3 Cu 0.2514 0.1257 0.7500  6 Cu 2.51-2.58
4 Cu 0.1257 0.8743 0.2500  6 Cu 2.51-2.58
5 Cu 0.8743 0.7486 0.7500  6 Cu 2.51-2.58
6 Cu 0.8743 0.1257 0.7500  6 Cu 2.51-2.58
7 Ac 0.6667 0.3333 0.2500  12 Cu 3.21-3.37
8 Ac 0.3333 0.6667 0.7500  12 Cu 3.21-3.37

Output
E = -33.5 eV per cell
Space-group type = P6_3/mmc (194)
Energy of formation from the pure elements = -0.0786 eV/atom